Record 1
# Na30Nb4Zn20Si9S27O144

A relaxed structure of Na30Nb4Zn20Si9S27O144 (PBE, the Materials Project).

Unit cell a=9.034 b=15.464 c=22.414 alpha=89.26 beta=89.93 gamma=89.98
Space group P1 (No. 1)
Inequivalent atoms, fractional coordinates:
1 Na 0.000 0.000 0.000 x1
2 Na 0.004 0.335 0.332 x1
3 Na 0.014 0.670 0.667 x1
4 Na 0.048 0.317 0.991 x1
5 Na 0.055 0.021 0.321 x1
6 Na 0.180 0.845 0.162 x1
7 Na 0.241 0.835 0.832 x1
8 Na 0.245 0.499 0.499 x1
9 Na 0.356 0.328 0.578 x1
10 Na 0.358 0.674 0.916 x1
11 Na 0.359 0.678 0.414 x1
12 Na 0.363 0.018 0.747 x1
13 Na 0.383 0.018 0.247 x1
14 Na 0.392 0.336 0.083 x1
15 Na 0.500 0.500 0.001 x1
16 Na 0.504 0.836 0.332 x1
17 Na 0.547 0.489 0.662 x1
18 Na 0.555 0.518 0.320 x1
19 Na 0.573 0.842 0.659 x1
20 Na 0.680 0.689 0.501 x1
21 Na 0.688 0.652 0.821 x1
22 Na 0.692 0.021 0.821 x1
23 Na 0.743 0.335 0.831 x1
24 Na 0.746 0.000 0.500 x1
25 Na 0.867 0.173 0.913 x1
26 Na 0.871 0.834 0.077 x1
27 Na 0.872 0.181 0.416 x1
28 Na 0.872 0.841 0.581 x1
29 Na 0.876 0.509 0.246 x1
30 Na 0.896 0.500 0.748 x1
31 Nb 0.364 0.000 0.096 x1
32 Nb 0.385 0.002 0.595 x1
33 Nb 0.857 0.497 0.097 x1
34 Nb 0.885 0.494 0.597 x1
35 Zn 0.356 0.335 0.726 x1
36 Zn 0.359 0.330 0.430 x1
37 Zn 0.368 0.669 0.061 x1
38 Zn 0.370 0.659 0.252 x1
39 Zn 0.371 0.997 0.900 x1
40 Zn 0.373 0.000 0.398 x1
41 Zn 0.376 0.651 0.750 x1
42 Zn 0.383 0.340 0.224 x1
43 Zn 0.386 0.671 0.565 x1
44 Zn 0.389 0.332 0.929 x1
45 Zn 0.859 0.167 0.064 x1
46 Zn 0.866 0.840 0.722 x1
47 Zn 0.867 0.835 0.429 x1
48 Zn 0.870 0.163 0.251 x1
49 Zn 0.873 0.841 0.225 x1
50 Zn 0.878 0.494 0.398 x1
51 Zn 0.880 0.162 0.751 x1
52 Zn 0.881 0.495 0.898 x1
53 Zn 0.883 0.171 0.561 x1
54 Zn 0.891 0.831 0.932 x1
55 Si 0.008 0.021 0.159 x1
56 Si 0.023 0.345 0.489 x1
57 Si 0.226 0.846 0.990 x1
58 Si 0.235 0.520 0.657 x1
59 Si 0.505 0.521 0.159 x1
60 Si 0.518 0.849 0.489 x1
61 Si 0.675 0.668 0.661 x1
62 Si 0.723 0.346 0.990 x1
63 Si 0.738 0.025 0.659 x1
64 S 0.018 0.647 0.492 x1
65 S 0.020 0.982 0.827 x1
66 S 0.022 0.687 0.827 x1
67 S 0.024 0.315 0.160 x1
68 S 0.075 0.666 0.160 x1
69 S 0.077 0.333 0.828 x1
70 S 0.082 0.000 0.491 x1
71 S 0.163 0.502 0.992 x1
72 S 0.167 0.833 0.326 x1
73 S 0.171 0.168 0.660 x1
74 S 0.225 0.483 0.327 x1
75 S 0.227 0.817 0.661 x1
76 S 0.229 0.188 0.326 x1
77 S 0.230 0.148 0.992 x1
78 S 0.518 0.188 0.827 x1
79 S 0.519 0.150 0.490 x1
80 S 0.520 0.483 0.828 x1
81 S 0.524 0.815 0.161 x1
82 S 0.575 0.168 0.160 x1
83 S 0.580 0.835 0.828 x1
84 S 0.583 0.499 0.491 x1
85 S 0.664 0.001 0.991 x1
86 S 0.665 0.333 0.327 x1
87 S 0.723 0.312 0.661 x1
88 S 0.725 0.984 0.327 x1
89 S 0.729 0.688 0.328 x1
90 S 0.730 0.648 0.991 x1
91 O 0.045 0.853 0.994 x1
92 O 0.048 0.507 0.649 x1
93 O 0.060 0.492 0.331 x1
94 O 0.062 0.181 0.323 x1
95 O 0.063 0.493 0.046 x1
96 O 0.066 0.828 0.668 x1
97 O 0.067 0.154 0.997 x1
98 O 0.072 0.823 0.380 x1
99 O 0.075 0.515 0.938 x1
100 O 0.077 0.843 0.270 x1
101 O 0.081 0.182 0.607 x1
102 O 0.085 0.151 0.715 x1
103 O 0.162 0.651 0.216 x1
104 O 0.164 0.323 0.885 x1
105 O 0.168 0.011 0.435 x1
106 O 0.169 0.684 0.108 x1
107 O 0.172 0.342 0.775 x1
108 O 0.180 0.654 0.498 x1
109 O 0.184 0.327 0.166 x1
110 O 0.185 0.991 0.830 x1
111 O 0.185 0.994 0.544 x1
112 O 0.186 0.681 0.823 x1
113 O 0.203 0.010 0.150 x1
114 O 0.204 0.351 0.493 x1
115 O 0.226 0.585 0.713 x1
116 O 0.249 0.418 0.991 x1
117 O 0.253 0.764 0.609 x1
118 O 0.254 0.427 0.276 x1
119 O 0.258 0.239 0.381 x1
120 O 0.259 0.915 0.328 x1
121 O 0.262 0.096 0.939 x1
122 O 0.264 0.085 0.652 x1
123 O 0.267 0.574 0.997 x1
124 O 0.270 0.757 0.322 x1
125 O 0.274 0.917 0.048 x1
126 O 0.275 0.241 0.666 x1
127 O 0.290 0.097 0.332 x1
128 O 0.290 0.229 0.272 x1
129 O 0.290 0.890 0.930 x1
130 O 0.291 0.445 0.383 x1
131 O 0.294 0.236 0.990 x1
132 O 0.296 0.104 0.047 x1
133 O 0.297 0.571 0.322 x1
134 O 0.298 0.907 0.652 x1
135 O 0.299 0.562 0.596 x1
136 O 0.301 0.784 0.716 x1
137 O 0.303 0.754 0.002 x1
138 O 0.312 0.426 0.666 x1
139 O 0.447 0.754 0.497 x1
140 O 0.447 0.783 0.216 x1
141 O 0.448 0.235 0.490 x1
142 O 0.449 0.422 0.163 x1
143 O 0.451 0.103 0.546 x1
144 O 0.451 0.567 0.098 x1
145 O 0.452 0.906 0.153 x1
146 O 0.453 0.572 0.825 x1
147 O 0.456 0.097 0.832 x1
148 O 0.456 0.894 0.429 x1
149 O 0.457 0.229 0.772 x1
150 O 0.462 0.441 0.883 x1
151 O 0.470 0.240 0.166 x1
152 O 0.475 0.917 0.547 x1
153 O 0.479 0.758 0.825 x1
154 O 0.483 0.085 0.152 x1
155 O 0.485 0.576 0.494 x1
156 O 0.486 0.096 0.439 x1
157 O 0.487 0.239 0.881 x1
158 O 0.487 0.916 0.830 x1
159 O 0.490 0.765 0.108 x1
160 O 0.492 0.419 0.489 x1
161 O 0.492 0.431 0.774 x1
162 O 0.503 0.574 0.221 x1
163 O 0.542 0.012 0.649 x1
164 O 0.544 0.351 0.992 x1
165 O 0.561 0.992 0.330 x1
166 O 0.561 0.996 0.044 x1
167 O 0.562 0.682 0.325 x1
168 O 0.563 0.328 0.667 x1
169 O 0.568 0.651 0.997 x1
170 O 0.572 0.345 0.274 x1
171 O 0.575 0.323 0.382 x1
172 O 0.577 0.691 0.603 x1
173 O 0.578 0.013 0.935 x1
174 O 0.580 0.645 0.721 x1
175 O 0.663 0.151 0.214 x1
176 O 0.664 0.183 0.106 x1
177 O 0.667 0.845 0.772 x1
178 O 0.676 0.513 0.437 x1
179 O 0.678 0.824 0.880 x1
180 O 0.679 0.153 0.497 x1
181 O 0.679 0.493 0.546 x1
182 O 0.683 0.827 0.168 x1
183 O 0.685 0.181 0.824 x1
184 O 0.687 0.493 0.830 x1
185 O 0.700 0.512 0.149 x1
186 O 0.701 0.847 0.492 x1
187 O 0.744 0.076 0.721 x1
188 O 0.754 0.920 0.991 x1
189 O 0.754 0.927 0.276 x1
190 O 0.755 0.262 0.609 x1
191 O 0.758 0.738 0.384 x1
192 O 0.759 0.415 0.329 x1
193 O 0.761 0.596 0.936 x1
194 O 0.765 0.076 0.995 x1
195 O 0.770 0.257 0.322 x1
196 O 0.770 0.417 0.047 x1
197 O 0.774 0.577 0.649 x1
198 O 0.785 0.924 0.662 x1
199 O 0.790 0.405 0.653 x1
200 O 0.790 0.597 0.332 x1
201 O 0.790 0.945 0.383 x1
202 O 0.791 0.731 0.274 x1
203 O 0.793 0.281 0.717 x1
204 O 0.793 0.746 0.667 x1
205 O 0.794 0.068 0.598 x1
206 O 0.797 0.070 0.321 x1
207 O 0.798 0.601 0.045 x1
208 O 0.799 0.734 0.990 x1
209 O 0.801 0.389 0.931 x1
210 O 0.811 0.256 0.002 x1
211 O 0.944 0.733 0.490 x1
212 O 0.945 0.253 0.501 x1
213 O 0.948 0.600 0.833 x1
214 O 0.949 0.070 0.821 x1
215 O 0.950 0.604 0.548 x1
216 O 0.951 0.281 0.215 x1
217 O 0.952 0.065 0.098 x1
218 O 0.955 0.407 0.153 x1
219 O 0.955 0.944 0.883 x1
220 O 0.957 0.726 0.771 x1
221 O 0.959 0.388 0.428 x1
222 O 0.961 0.919 0.163 x1
223 O 0.973 0.416 0.545 x1
224 O 0.975 0.742 0.167 x1
225 O 0.976 0.256 0.824 x1
226 O 0.980 0.412 0.829 x1
227 O 0.981 0.075 0.495 x1
228 O 0.982 0.586 0.152 x1
229 O 0.986 0.594 0.440 x1
230 O 0.989 0.742 0.879 x1
231 O 0.991 0.267 0.106 x1
232 O 0.991 0.926 0.775 x1
233 O 0.992 0.919 0.491 x1
234 O 0.999 0.073 0.221 x1

Output
The volume comes out at 3131.1 Å³/f.u.

=====

Record 2
# Na15Ca8Nb4P15S3O72

A relaxed structure of Na15Ca8Nb4P15S3O72 (PBE, the Materials Project).

Unit cell a=9.245 b=9.257 c=22.873 alpha=89.98 beta=89.95 gamma=60.16
Space group P1 (No. 1)
Inequivalent atoms, fractional coordinates:
1 Na 0.000 0.000 0.000 x1
2 Na 0.003 0.306 0.832 x1
3 Na 0.014 0.237 0.507 x1
4 Na 0.025 0.618 0.757 x1
5 Na 0.335 0.960 0.595 x1
6 Na 0.338 0.297 0.337 x1
7 Na 0.343 0.959 0.095 x1
8 Na 0.375 0.612 0.497 x1
9 Na 0.387 0.235 0.002 x1
10 Na 0.639 0.999 0.499 x1
11 Na 0.648 0.614 0.998 x1
12 Na 0.670 0.291 0.914 x1
13 Na 0.686 0.275 0.413 x1
14 Na 0.690 0.938 0.832 x1
15 Na 0.996 0.649 0.257 x1
16 Ca 0.006 0.629 0.394 x1
17 Ca 0.014 0.620 0.896 x1
18 Ca 0.343 0.944 0.232 x1
19 Ca 0.343 0.947 0.732 x1
20 Ca 0.345 0.949 0.925 x1
21 Ca 0.348 0.940 0.425 x1
22 Ca 0.674 0.283 0.571 x1
23 Ca 0.679 0.281 0.072 x1
24 Nb 0.020 0.618 0.609 x1
25 Nb 0.671 0.285 0.259 x1
26 Nb 0.674 0.288 0.760 x1
27 Nb 0.999 0.618 0.108 x1
28 P 0.012 0.908 0.504 x1
29 P 0.014 0.324 0.001 x1
30 P 0.023 0.965 0.831 x1
31 P 0.297 0.324 0.500 x1
32 P 0.355 0.254 0.831 x1
33 P 0.355 0.631 0.331 x1
34 P 0.366 0.295 0.162 x1
35 P 0.375 0.581 0.661 x1
36 P 0.645 0.964 0.330 x1
37 P 0.649 0.636 0.833 x1
38 P 0.680 0.581 0.161 x1
39 P 0.687 0.977 0.662 x1
40 P 0.716 0.908 0.002 x1
41 P 0.972 0.978 0.161 x1
42 P 0.973 0.295 0.661 x1
43 S 0.025 0.254 0.331 x1
44 S 0.298 0.621 0.004 x1
45 S 0.721 0.620 0.502 x1
46 O 0.004 0.416 0.945 x1
47 O 0.005 0.423 0.334 x1
48 O 0.018 0.438 0.055 x1
49 O 0.018 0.796 0.559 x1
50 O 0.080 0.003 0.891 x1
51 O 0.087 0.165 0.388 x1
52 O 0.141 0.163 0.284 x1
53 O 0.141 0.944 0.782 x1
54 O 0.145 0.947 0.173 x1
55 O 0.147 0.152 0.671 x1
56 O 0.176 0.153 0.006 x1
57 O 0.180 0.439 0.554 x1
58 O 0.181 0.908 0.505 x1
59 O 0.194 0.468 0.161 x1
60 O 0.195 0.630 0.056 x1
61 O 0.200 0.581 0.663 x1
62 O 0.204 0.429 0.834 x1
63 O 0.215 0.415 0.444 x1
64 O 0.218 0.581 0.331 x1
65 O 0.223 0.603 0.950 x1
66 O 0.305 0.153 0.506 x1
67 O 0.306 0.779 0.003 x1
68 O 0.328 0.155 0.784 x1
69 O 0.328 0.753 0.284 x1
70 O 0.332 0.155 0.173 x1
71 O 0.340 0.756 0.672 x1
72 O 0.385 0.684 0.392 x1
73 O 0.403 0.156 0.890 x1
74 O 0.454 0.277 0.104 x1
75 O 0.454 0.515 0.602 x1
76 O 0.470 0.474 0.007 x1
77 O 0.472 0.306 0.504 x1
78 O 0.474 0.316 0.214 x1
79 O 0.483 0.453 0.711 x1
80 O 0.517 0.267 0.815 x1
81 O 0.524 0.455 0.317 x1
82 O 0.537 0.958 0.282 x1
83 O 0.540 0.756 0.172 x1
84 O 0.545 0.943 0.673 x1
85 O 0.548 0.908 0.006 x1
86 O 0.550 0.007 0.390 x1
87 O 0.555 0.767 0.787 x1
88 O 0.555 0.778 0.502 x1
89 O 0.562 0.687 0.893 x1
90 O 0.660 0.130 0.317 x1
91 O 0.662 0.460 0.817 x1
92 O 0.667 0.514 0.102 x1
93 O 0.670 0.063 0.604 x1
94 O 0.689 0.086 0.006 x1
95 O 0.694 0.474 0.506 x1
96 O 0.702 0.452 0.211 x1
97 O 0.707 0.084 0.714 x1
98 O 0.811 0.830 0.945 x1
99 O 0.813 0.631 0.555 x1
100 O 0.816 0.601 0.449 x1
101 O 0.821 0.817 0.331 x1
102 O 0.830 0.792 0.056 x1
103 O 0.832 0.597 0.833 x1
104 O 0.840 0.090 0.211 x1
105 O 0.847 0.134 0.818 x1
106 O 0.847 0.315 0.713 x1
107 O 0.854 0.584 0.162 x1
108 O 0.856 0.270 0.321 x1
109 O 0.856 0.306 0.005 x1
110 O 0.859 0.802 0.662 x1
111 O 0.863 0.088 0.507 x1
112 O 0.901 0.281 0.603 x1
113 O 0.908 0.060 0.102 x1
114 O 0.973 0.804 0.162 x1
115 O 0.976 0.467 0.661 x1
116 O 0.978 0.826 0.832 x1
117 O 0.988 0.826 0.450 x1

Output
The volume comes out at 1697.9 Å³/f.u.

=====

Record 3
# KCaAsH16O12

A relaxed structure of KCaAsH16O12 (PBE, the Materials Project).

Unit cell a=7.141 b=7.157 c=11.872 alpha=90.00 beta=90.00 gamma=90.00
Space group Amm2 (No. 38)
Inequivalent atoms, fractional coordinates:
1 K 0.000 0.000 0.000 x2
2 Ca 0.000 0.000 0.310 x2
3 As 0.500 0.000 0.684 x2
4 H 0.111 0.143 0.670 x8
5 H 0.275 0.150 0.481 x8
6 H 0.326 0.247 0.864 x8
7 H 0.356 0.110 0.201 x8
8 O 0.000 0.217 0.693 x4
9 O 0.220 0.211 0.413 x8
10 O 0.277 0.000 0.183 x4
11 O 0.298 0.000 0.604 x4
12 O 0.500 0.202 0.764 x4

Output
The volume comes out at 303.3 Å³/f.u.

=====

Record 4
# KEuCu2Te4

A relaxed structure of KEuCu2Te4 (PBE, the Materials Project).

Unit cell a=4.439 b=4.439 c=11.370 alpha=90.00 beta=90.00 gamma=90.00
Space group P4mm (No. 99)
Inequivalent atoms, fractional coordinates:
1 K 0.000 0.000 0.000 x1
2 Eu 0.500 0.500 0.489 x1
3 Cu 0.000 0.500 0.731 x2
4 Te 0.000 0.000 0.585 x1
5 Te 0.000 0.500 0.263 x2
6 Te 0.500 0.500 0.859 x1

Output
The volume comes out at 224.0 Å³/f.u.

=====

Record 5
# K4Eu2UGe4O16

A relaxed structure of K4Eu2UGe4O16 (PBE, the Materials Project).

Unit cell a=7.062 b=7.091 c=10.160 alpha=99.15 beta=93.92 gamma=110.92
Space group P-1 (No. 2)
Inequivalent atoms, fractional coordinates:
1 K 0.191 0.336 0.037 x2
2 K 0.242 0.461 0.400 x2
3 Eu 0.273 0.021 0.599 x2
4 U 0.500 0.000 0.000 x1
5 Ge 0.171 0.876 0.265 x2
6 Ge 0.241 0.536 0.737 x2
7 O 0.001 0.609 0.207 x2
8 O 0.067 0.024 0.371 x2
9 O 0.186 0.690 0.634 x2
10 O 0.227 0.956 0.111 x2
11 O 0.347 0.373 0.651 x2
12 O 0.361 0.069 0.861 x2
13 O 0.372 0.882 0.380 x2
14 O 0.388 0.672 0.896 x2

Output
The volume comes out at 464.8 Å³/f.u.

=====

Record 6
# Hf3Ni

A relaxed structure of Hf3Ni (PBE, the Materials Project).

Unit cell a=4.245 b=4.245 c=4.245 alpha=90.00 beta=90.00 gamma=90.00
Space group Pm-3m (No. 221)
Inequivalent atoms, fractional coordinates:
1 Hf 0.000 0.000 0.500 x3
2 Ni 0.500 0.500 0.500 x1

Output
The volume comes out at 76.5 Å³/f.u.

=====

no.,ΔH_f (0 K) (eV/atom)
1,-2.1626
2,-2.7860
3,-1.5441
4,-0.8910
5,-2.6150
6,0.0361